This record from Materials Project describes a geometry-optimized Li4Mn3CoO8 structure. The functional is PBE+U.

Summary:
Magnetic moment = 14.001 μB/f.u.

a = 2.8724 Å, b = 19.6503 Å, c = 3.0669 Å
α = 93.42°, β = 118.11°, γ = 85.94°
Atoms (fractional coordinates):
Li 0.2530 0.1228 0.6290
Li 0.7474 0.8772 0.3712
Li 0.7509 0.3741 0.8758
Li 0.2494 0.6259 0.1243
Mn 0.9992 0.5000 0.4993
Mn 0.5032 0.2490 0.2554
Mn 0.4970 0.7510 0.7447
Co 0.0002 0.0000 0.0001
O 0.6355 0.0568 0.3360
O 0.3649 0.9432 0.6642
O 0.1098 0.3073 0.5259
O 0.8905 0.6926 0.4743
O 0.6075 0.5580 0.7729
O 0.3913 0.4421 0.2267
O 0.1053 0.8086 0.0174
O 0.8950 0.1914 0.9828

=====

This record from Materials Project describes a geometry-optimized Li4MnCo3O8 structure. The functional is PBE+U.

Summary:
Magnetic moment = 8.000 μB/f.u.

a = 2.9425 Å, b = 6.6656 Å, c = 7.7532 Å
α = 90.95°, β = 97.20°, γ = 102.53°
Atoms (fractional coordinates):
Li 0.2518 0.8756 0.1261
Li 0.2518 0.3766 0.6260
Li 0.7482 0.6234 0.3740
Li 0.7482 0.1244 0.8739
Mn 0.5000 0.0000 0.5000
Co 0.0023 0.7525 0.7524
Co 0.9977 0.2475 0.2476
Co 0.5000 0.5000 0.0000
O 0.6220 0.8025 0.9269
O 0.6244 0.2994 0.4279
O 0.1249 0.5517 0.1763
O 0.1505 0.0537 0.6826
O 0.8495 0.9463 0.3174
O 0.8751 0.4483 0.8237
O 0.3756 0.7006 0.5721
O 0.3780 0.1975 0.0731

=====

This record from Materials Project describes a geometry-optimized Li3MnCoO5 structure. The functional is PBE+U.

Summary:
Magnetic moment = 3.000 μB/f.u.

a = 5.0501 Å, b = 5.1364 Å, c = 7.7222 Å
α = 102.98°, β = 108.56°, γ = 99.85°
Atoms (fractional coordinates):
Li 0.2034 0.4966 0.8974
Li 0.7832 0.4930 0.0921
Li 0.4078 0.5002 0.2994
Li 0.0058 0.5089 0.5075
Li 0.5959 0.4987 0.7056
Li 0.4003 0.0018 0.8022
Mn 0.0015 0.0035 0.9967
Mn 0.2002 0.9985 0.4008
Co 0.5969 0.9995 0.1908
Co 0.8038 0.9980 0.6076
O 0.9876 0.7671 0.7639
O 0.6214 0.7749 0.9667
O 0.1945 0.7815 0.1532
O 0.8268 0.7684 0.3560
O 0.4066 0.7791 0.5361
O 0.3794 0.2319 0.0520
O 0.0056 0.2210 0.2460
O 0.5803 0.2221 0.4399
O 0.1785 0.2257 0.6271
O 0.8206 0.2296 0.8592

=====

This record from Materials Project describes a geometry-optimized Li4MnCo2O7 structure. The functional is PBE+U.

Summary:
Magnetic moment = 5.001 μB/f.u.

a = 5.0025 Å, b = 5.1738 Å, c = 10.2108 Å
α = 98.87°, β = 99.25°, γ = 100.72°
Atoms (fractional coordinates):
Li 0.7156 0.4304 0.9201
Li 0.2902 0.5748 0.0750
Li 0.8536 0.7166 0.2223
Li 0.5779 0.1348 0.6356
Li 0.1316 0.2780 0.7728
Li 0.4285 0.8586 0.3618
Li 0.9995 0.9994 0.5072
Li 0.8542 0.7134 0.7117
Mn 0.0004 0.9929 0.9983
Mn 0.4283 0.8533 0.8542
Co 0.5699 0.1409 0.1421
Co 0.1482 0.2915 0.2891
Co 0.7177 0.4356 0.4355
Co 0.2915 0.5817 0.5771
O 0.7853 0.0619 0.8373
O 0.3561 0.1819 0.9710
O 0.9191 0.3142 0.1031
O 0.6250 0.7664 0.5334
O 0.2407 0.9263 0.6929
O 0.4872 0.4849 0.2512
O 0.0615 0.6264 0.3915
O 0.6544 0.7921 0.0231
O 0.2163 0.9452 0.1685
O 0.7797 0.0876 0.3053
O 0.4826 0.5317 0.7598
O 0.0901 0.6807 0.9014
O 0.3580 0.2316 0.4612
O 0.9371 0.3674 0.5977

=====

This record from Materials Project describes a geometry-optimized Li5Mn2CoO8 structure. The functional is PBE+U.

Summary:
Magnetic moment = 2.053 μB/f.u.

a = 2.8931 Å, b = 9.7953 Å, c = 10.0620 Å
α = 101.25°, β = 89.59°, γ = 90.58°
Atoms (fractional coordinates):
Li 0.0000 0.5000 0.2500
Li 0.5000 0.0000 0.7500
Li 0.0019 0.2402 0.8658
Li 0.5011 0.7408 0.3648
Li 0.4989 0.2592 0.1352
Li 0.9981 0.7598 0.6342
Li 0.4881 0.7597 0.8709
Li 0.9895 0.2568 0.3678
Li 0.0105 0.7432 0.1322
Li 0.5119 0.2403 0.6291
Mn 0.9980 0.9999 0.9965
Mn 0.0020 0.0001 0.5035
Mn 0.4904 0.4980 0.4899
Mn 0.5096 0.5020 0.0101
Co 0.5000 0.0000 0.2500
Co 0.0000 0.5000 0.7500
O 0.5026 0.1138 0.9511
O 0.9939 0.6128 0.4465
O 0.0061 0.3872 0.0535
O 0.4974 0.8862 0.5489
O 0.0147 0.6092 0.9442
O 0.5053 0.1048 0.4338
O 0.4947 0.8952 0.0663
O 0.9853 0.3908 0.5558
O 0.5060 0.6187 0.1748
O 0.0052 0.1174 0.6696
O 0.4940 0.3813 0.3252
O 0.9948 0.8826 0.8304
O 0.4757 0.6134 0.6854
O 0.0027 0.1075 0.1902
O 0.5243 0.3866 0.8146
O 0.9973 0.8925 0.3098

=====

This record from Materials Project describes a geometry-optimized Li4MnCo2O7 structure. The functional is PBE+U.

Summary:
Magnetic moment = 7.000 μB/f.u.

a = 10.2078 Å, b = 10.2078 Å, c = 5.1950 Å
α = 84.35°, β = 84.35°, γ = 150.34°
Atoms (fractional coordinates):
Li 0.6412 0.3588 0.5000
Li 0.0703 0.9297 0.5000
Li 0.5000 0.5000 0.5000
Li 0.9297 0.0703 0.5000
Li 0.3588 0.6412 0.5000
Li 0.7858 0.2142 0.5000
Li 0.2142 0.7858 0.5000
Li 0.0000 0.0000 0.0000
Mn 0.7133 0.2867 0.0000
Mn 0.2867 0.7133 0.0000
Co 0.1401 0.8599 0.0000
Co 0.5709 0.4291 0.0000
Co 0.4291 0.5709 0.0000
Co 0.8599 0.1401 0.0000
O 0.4157 0.1376 0.2344
O 0.8201 0.6697 0.2075
O 0.2856 0.2856 0.2330
O 0.6697 0.8201 0.2075
O 0.1376 0.4157 0.2344
O 0.5639 0.9924 0.2320
O 0.9924 0.5639 0.2320
O 0.8624 0.5843 0.7656
O 0.3303 0.1799 0.7925
O 0.7144 0.7144 0.7670
O 0.1799 0.3303 0.7925
O 0.5843 0.8624 0.7656
O 0.0076 0.4361 0.7680
O 0.4361 0.0076 0.7680

=====

This record from Materials Project describes a geometry-optimized Li7Mn4CoO12 structure. The functional is PBE+U.

Summary:
Magnetic moment = 13.977 μB/f.u.

a = 2.9712 Å, b = 15.1683 Å, c = 9.9141 Å
α = 78.28°, β = 92.70°, γ = 92.43°
Atoms (fractional coordinates):
Li 0.5000 0.1667 0.0000
Li 0.0000 0.6667 0.0000
Li 0.9796 0.0929 0.2408
Li 0.4837 0.5930 0.2411
Li 0.0204 0.2404 0.7592
Li 0.5163 0.7404 0.7589
Li 0.4963 0.0878 0.7558
Li 0.9893 0.5886 0.7544
Li 0.5038 0.2455 0.2442
Li 0.0107 0.7447 0.2455
Li 0.0101 0.4168 0.2539
Li 0.5065 0.9166 0.2529
Li 0.4934 0.4167 0.7471
Li 0.9899 0.9165 0.7461
Mn 0.0099 0.0049 0.9965
Mn 0.5085 0.5051 0.9960
Mn 0.9901 0.3284 0.0035
Mn 0.4915 0.8282 0.0040
Mn 0.4841 0.0002 0.4976
Mn 0.9985 0.5028 0.4979
Mn 0.5159 0.3331 0.5024
Mn 0.0014 0.8306 0.5021
Co 0.5000 0.6667 0.5000
Co 0.0000 0.1667 0.5000
O 0.5315 0.0333 0.1081
O 0.0309 0.5334 0.1078
O 0.4685 0.3000 0.8919
O 0.9692 0.8000 0.8922
O 0.9479 0.0470 0.6144
O 0.4610 0.5494 0.6129
O 0.0521 0.2863 0.3856
O 0.5389 0.7839 0.3871
O 0.9884 0.2185 0.1176
O 0.4922 0.7182 0.1178
O 0.0116 0.1148 0.8824
O 0.5079 0.6151 0.8822
O 0.5160 0.2122 0.6177
O 0.9705 0.7108 0.6174
O 0.4840 0.1212 0.3823
O 0.0294 0.6226 0.3826
O 0.5111 0.3750 0.1054
O 0.0114 0.8747 0.1062
O 0.9886 0.4586 0.8938
O 0.4889 0.9584 0.8946
O 0.9702 0.3821 0.6192
O 0.4591 0.8799 0.6191
O 0.5409 0.4534 0.3809
O 0.0297 0.9512 0.3808

=====

This record from Materials Project describes a geometry-optimized Li4MnCo2O7 structure. The functional is PBE+U.

Summary:
Magnetic moment = 7.796 μB/f.u.

a = 2.9847 Å, b = 2.9847 Å, c = 34.4903 Å
α = 86.38°, β = 86.38°, γ = 57.58°
Atoms (fractional coordinates):
Li 0.7266 0.7266 0.9244
Li 0.1313 0.1313 0.7870
Li 0.5708 0.5708 0.6431
Li 0.9990 0.9990 0.5000
Li 0.4245 0.4245 0.3592
Li 0.8609 0.8609 0.2127
Li 0.2824 0.2824 0.0739
Li 0.4287 0.4287 0.8559
Mn 0.0027 0.0027 0.0011
Mn 0.1437 0.1437 0.2861
Co 0.8577 0.8577 0.7126
Co 0.2849 0.2849 0.5718
Co 0.7118 0.7118 0.4298
Co 0.5717 0.5717 0.1431
O 0.3699 0.3699 0.9700
O 0.7875 0.7875 0.8183
O 0.2327 0.2327 0.6810
O 0.6145 0.6145 0.5391
O 0.0892 0.0892 0.3980
O 0.5243 0.5243 0.2531
O 0.9213 0.9213 0.1096
O 0.0713 0.0713 0.8934
O 0.4915 0.4915 0.7417
O 0.9547 0.9547 0.6044
O 0.3351 0.3351 0.4611
O 0.7604 0.7604 0.3198
O 0.2221 0.2221 0.1763
O 0.6288 0.6288 0.0334

=====

This record from Materials Project describes a geometry-optimized Li7Mn2Co3O12 structure. The functional is PBE+U.

Summary:
Magnetic moment = 17.999 μB/f.u.

a = 5.1006 Å, b = 5.1006 Å, c = 15.6637 Å
α = 82.40°, β = 82.40°, γ = 32.82°
Atoms (fractional coordinates):
Li 0.2492 0.2492 0.0845
Li 0.7469 0.7469 0.2597
Li 0.2353 0.2353 0.4280
Li 0.7571 0.7571 0.5762
Li 0.2558 0.2558 0.7486
Li 0.7541 0.7541 0.9036
Li 0.5002 0.5002 0.5029
Mn 0.0027 0.0027 0.9957
Mn 0.4978 0.4978 0.1699
Co 0.9872 0.9872 0.3529
Co 0.0087 0.0087 0.6544
Co 0.5022 0.5022 0.8268
O 0.3878 0.3878 0.9592
O 0.8855 0.8855 0.1307
O 0.3959 0.3959 0.2819
O 0.8760 0.8760 0.4524
O 0.3868 0.3868 0.6328
O 0.8850 0.8850 0.7945
O 0.1142 0.1142 0.1986
O 0.6158 0.6158 0.3711
O 0.1200 0.1200 0.5529
O 0.6072 0.6072 0.7077
O 0.1212 0.1212 0.8696
O 0.6074 0.6074 0.0454

=====

This record from Materials Project describes a geometry-optimized Li4MnCo2O7 structure. The functional is PBE+U.

Summary:
Magnetic moment = 0.336 μB/f.u.

a = 5.1226 Å, b = 5.1253 Å, c = 10.1136 Å
α = 100.55°, β = 100.72°, γ = 98.05°
Atoms (fractional coordinates):
Li 0.4287 0.7079 0.9256
Li 0.5751 0.2961 0.0736
Li 0.2845 0.1371 0.7844
Li 0.1518 0.5836 0.6379
Li 0.9931 0.9922 0.4945
Li 0.8624 0.4345 0.3610
Li 0.7053 0.8493 0.2237
Li 0.4288 0.7132 0.4294
Mn 0.9973 0.9979 0.9966
Mn 0.1456 0.5703 0.1432
Co 0.2940 0.1418 0.2962
Co 0.5637 0.2845 0.5681
Co 0.7139 0.8567 0.7130
Co 0.8550 0.4241 0.8553
O 0.6566 0.0494 0.8859
O 0.8042 0.6154 0.0274
O 0.5354 0.5227 0.7512
O 0.4026 0.9479 0.6177
O 0.2185 0.3397 0.4679
O 0.0744 0.7860 0.3051
O 0.9551 0.2286 0.1682
O 0.1976 0.3763 0.9649
O 0.3247 0.9043 0.1055
O 0.0463 0.8027 0.8205
O 0.9051 0.2013 0.6935
O 0.7770 0.6464 0.5557
O 0.6356 0.0981 0.3924
O 0.4675 0.4922 0.2416

=====

This record from Materials Project describes a geometry-optimized Li7Mn2Co3O12 structure. The functional is PBE+U.

Summary:
Magnetic moment = 18.000 μB/f.u.

a = 2.9410 Å, b = 8.1982 Å, c = 9.7886 Å
α = 66.18°, β = 90.00°, γ = 90.00°
Atoms (fractional coordinates):
Li 0.0000 0.1784 0.6556
Li 0.0000 0.5002 0.9937
Li 0.0000 0.8226 0.3472
Li 0.5000 0.6559 0.1784
Li 0.5000 0.9890 0.4965
Li 0.5000 0.3560 0.8204
Li 0.0000 0.6614 0.6646
Mn 0.0000 0.0037 0.9981
Mn 0.5000 0.8250 0.8285
Co 0.0000 0.3377 0.3441
Co 0.5000 0.5118 0.5126
Co 0.5000 0.1775 0.1730
O 0.0000 0.7720 0.9816
O 0.0000 0.0922 0.3238
O 0.0000 0.4156 0.6601
O 0.5000 0.2546 0.4926
O 0.5000 0.6014 0.8386
O 0.5000 0.9311 0.1420
O 0.0000 0.5708 0.3320
O 0.0000 0.9076 0.6899
O 0.0000 0.2281 0.0081
O 0.5000 0.0646 0.8532
O 0.5000 0.4029 0.1704
O 0.5000 0.7398 0.4948

=====

This record from Materials Project describes a geometry-optimized Li7Mn4CoO12 structure. The functional is PBE+U.

Summary:
Magnetic moment = 0.001 μB/f.u.

a = 2.9740 Å, b = 12.0673 Å, c = 6.4615 Å
α = 75.41°, β = 103.71°, γ = 94.29°
Atoms (fractional coordinates):
Li 0.3333 0.1667 0.6667
Li 0.9882 0.2523 0.9793
Li 0.6785 0.0811 0.3541
Li 0.6500 0.5906 0.3389
Li 0.0165 0.7427 0.9944
Li 0.3777 0.4031 0.6638
Li 0.2890 0.9302 0.6695
Mn 0.0283 0.4971 0.9928
Mn 0.6390 0.8362 0.3407
Mn 0.9659 0.0067 0.9939
Mn 0.7008 0.3266 0.3396
Co 0.3332 0.6667 0.6667
O 0.5014 0.1093 0.0057
O 0.1652 0.2241 0.3277
O 0.2167 0.4425 0.3180
O 0.4498 0.8909 0.0152
O 0.8394 0.2961 0.6388
O 0.8273 0.0372 0.6946
O 0.4778 0.6235 0.9864
O 0.1888 0.7099 0.3468
O 0.7991 0.7840 0.6582
O 0.8675 0.5494 0.6750
O 0.1047 0.9576 0.3253
O 0.5620 0.3757 0.0080

=====

Summary of raw total energy in eV/f.u.
-101.862, -93.774, -59.563, -81.803, -96.293, -81.489, -148.852, -80.266, -139.926, -80.110, -140.486, -148.964
(order as listed above)